1.
{
  "formula": "CaTi4Pd3O12",
  "functional": "GGA-PBE",
  "state": "optimized geometry",
  "lattice": [[4.534, -4.548, 1.340], [-2.864, 1.941, 5.574], [-4.525, -2.539, -4.014]],
  "species": ["O", "Ca", "Ti", "O", "Ti", "O", "O", "O", "Pd", "O", "O", "Pd", "O", "O", "O", "O", "O", "Ti", "Ti", "Pd"],
  "fractional_positions": [[0.294, 0.179, 0.473], [0.000, 0.000, 0.000], [0.500, 0.000, 0.000], [0.473, 0.294, 0.179], [0.000, 0.000, 0.500], [0.294, 0.821, 0.115], [0.115, 0.294, 0.821], [0.885, 0.706, 0.179], [0.000, 0.500, 0.500], [0.821, 0.115, 0.294], [0.179, 0.473, 0.294], [0.500, 0.000, 0.500], [0.527, 0.706, 0.821], [0.706, 0.179, 0.885], [0.706, 0.821, 0.527], [0.179, 0.885, 0.706], [0.821, 0.527, 0.706], [0.500, 0.500, 0.500], [0.000, 0.500, 0.000], [0.500, 0.500, 0.000]]
}

=====

2.
{
  "formula": "Ca2Pr2O5",
  "functional": "GGA-PBE",
  "state": "optimized geometry",
  "lattice": [[4.292, 0.000, 0.000], [0.000, 4.292, 0.000], [0.000, 0.000, 7.823]],
  "species": ["O", "Ca", "Pr", "Pr", "O", "Ca", "O", "O", "O"],
  "fractional_positions": [[0.000, 0.500, 0.812], [0.000, 0.000, 0.229], [0.500, 0.500, 0.500], [0.500, 0.500, 0.000], [0.000, 0.000, 0.500], [0.000, 0.000, 0.771], [0.000, 0.500, 0.188], [0.500, 0.000, 0.188], [0.500, 0.000, 0.812]]
}

=====

Number 1: uncorrected energy -7.6115 eV per atom, formation enthalpy at 0 K -2599 meV/atom. Number 2: uncorrected energy -6.8369 eV per atom, formation enthalpy at 0 K -2962 meV/atom.